Entry 1:
Computed, not measured: crystalline KMg3AlSi3O11F at its relaxed geometry at the GGA-PBE level of DFT.

Cell: 5.3720 5.4033 10.2790 Å, 94.52 95.77 119.77°
Element x y z (fractional)
Al 0.5304 0.2011 0.6140
Si 0.6901 0.3565 0.0670
Si 0.3564 0.6900 0.0669
Si 0.2038 0.5396 0.6192
O 0.1511 0.4887 0.4539
O 0.3795 0.8798 0.6792
O 0.7493 0.4114 0.2275
O 0.5051 0.0047 0.0099
O 0.0023 0.5053 0.0078
O 0.5012 0.5028 0.0085
O 0.4757 0.1440 0.4385
O 0.8991 0.3905 0.6760
O 0.4117 0.7399 0.2274
O 0.0856 0.0833 0.2484
O 0.3881 0.4001 0.6794
Mg 0.4480 0.4482 0.3410
Mg 0.1156 0.7745 0.3399
Mg 0.7813 0.1164 0.3431
F 0.8075 0.8046 0.4391
K 0.9381 0.9387 0.8132

Properties
* raw total energy: -137.074 eV per cell
* SG: P1 (1)


Entry 2:
Computed, not measured: crystalline K2NaAl3F12 at its relaxed geometry at the GGA-PBE level of DFT.

Cell: 7.0786 11.4399 12.0374 Å, 90.00 90.00 90.00°
Element x y z (fractional)
F 0.2500 0.2890 0.8012
F 0.5424 0.3918 0.8791
F 0.4606 0.6039 0.7214
F 0.2500 0.5518 0.4141
F 0.7500 0.6395 0.9220
F 0.2500 0.2918 0.3573
F 0.0394 0.6039 0.7214
F 0.4576 0.6082 0.1209
F 0.5394 0.3961 0.2786
F 0.9606 0.8961 0.2214
F 0.0394 0.1039 0.7786
F 0.5621 0.3006 0.4724
F 0.7500 0.4482 0.5859
F 0.4576 0.1082 0.3791
F 0.2500 0.8605 0.4220
F 0.9379 0.3006 0.4724
F 0.2500 0.7890 0.6988
F 0.9576 0.8918 0.6209
F 0.7500 0.1395 0.5780
F 0.0599 0.7046 0.3128
F 0.5599 0.2954 0.6872
F 0.2500 0.0518 0.0859
F 0.9401 0.2954 0.6872
F 0.9576 0.3918 0.8791
F 0.0424 0.1082 0.3791
F 0.4606 0.1039 0.7786
F 0.0599 0.2046 0.1872
F 0.5599 0.7954 0.8128
F 0.5621 0.8006 0.0276
F 0.9379 0.8006 0.0276
F 0.4401 0.2046 0.1872
F 0.0424 0.6082 0.1209
F 0.2500 0.3605 0.0780
F 0.5424 0.8918 0.6209
F 0.5394 0.8961 0.2214
F 0.7500 0.2110 0.3012
F 0.7500 0.9482 0.9141
F 0.2500 0.7918 0.1427
F 0.0621 0.6994 0.5276
F 0.0621 0.1994 0.9724
F 0.7500 0.7082 0.6427
F 0.9401 0.7954 0.8128
F 0.7500 0.7110 0.1988
F 0.9606 0.3961 0.2786
F 0.4401 0.7046 0.3128
F 0.4379 0.1994 0.9724
F 0.4379 0.6994 0.5276
F 0.7500 0.2082 0.8573
Al 0.5003 0.7527 0.1694
Al 0.4997 0.2473 0.8306
Al 0.2500 0.2067 0.0797
Al 0.7500 0.2933 0.5797
Al 0.5003 0.2527 0.3306
Al 0.7500 0.7933 0.9203
Al 0.0003 0.7473 0.6694
Al 0.9997 0.2527 0.3306
Al 0.0003 0.2473 0.8306
Al 0.2500 0.7067 0.4203
Al 0.4997 0.7473 0.6694
Al 0.9997 0.7527 0.1694
K 0.2500 0.9407 0.8951
K 0.7500 0.5593 0.3951
K 0.2500 0.5443 0.9263
K 0.7500 0.0593 0.1049
K 0.2500 0.0443 0.5737
K 0.7500 0.9557 0.4263
K 0.2500 0.4407 0.6049
K 0.7500 0.4557 0.0737
Na 0.2500 0.9864 0.2711
Na 0.7500 0.0136 0.7289
Na 0.2500 0.4864 0.2289
Na 0.7500 0.5136 0.7711

Properties
* raw total energy: -391.146 eV per cell
* SG: Pnma (62)


Entry 3:
Computed, not measured: crystalline K2NaAl3F12 at its relaxed geometry at the GGA-PBE level of DFT.

Cell: 7.0857 7.0479 9.8103 Å, 89.83 90.00 90.00°
Element x y z (fractional)
Al 0.5000 0.0000 0.5000
Al 0.7500 0.3078 0.2812
Al 0.5000 0.5000 0.0000
Al 0.0000 0.5000 0.0000
Al 0.2500 0.6922 0.7188
Al 0.0000 0.0000 0.5000
F 0.4565 0.2620 0.9492
F 0.5401 0.1338 0.6509
F 0.0604 0.5818 0.8257
F 0.5619 0.2122 0.3946
F 0.7500 0.5198 0.3790
F 0.0401 0.8662 0.3491
F 0.2500 0.4802 0.6210
F 0.4381 0.7878 0.6054
F 0.2500 0.5261 0.0581
F 0.5435 0.7380 0.0508
F 0.2500 0.0794 0.5017
F 0.7500 0.9206 0.4983
F 0.5604 0.4182 0.1743
F 0.9599 0.1338 0.6509
F 0.9396 0.4182 0.1743
F 0.9565 0.7380 0.0508
F 0.9381 0.2122 0.3946
F 0.2500 0.8959 0.8218
F 0.7500 0.4739 0.9419
F 0.7500 0.1041 0.1782
F 0.4599 0.8662 0.3491
F 0.0435 0.2620 0.9492
F 0.4396 0.5818 0.8257
F 0.0619 0.7878 0.6054
K 0.2500 0.9856 0.1054
K 0.7500 0.4646 0.6417
K 0.2500 0.5354 0.3583
K 0.7500 0.0144 0.8946
Na 0.7500 0.7910 0.2408
Na 0.2500 0.2090 0.7592

Properties
* raw total energy: -195.603 eV per cell
* SG: P2_1/m (11)